Entry 1:
Compound: Mg3Ga
Source: Materials Project
Functional: PBE
Structure: relaxed

Cell lengths 6.2016, 6.2016, 4.9520 Å; angles 90.00, 90.00, 120.00 degrees
With the nearest neighbours (Å) after each atom.
Sites, in units of the cell vectors:
1 Mg 0.1689 0.3379 0.2500  4 Ga 3.04-3.10, 8 Mg 3.06-3.14
2 Mg 0.1689 0.8311 0.2500  4 Ga 3.04-3.10, 8 Mg 3.06-3.14
3 Mg 0.3379 0.1689 0.7500  4 Ga 3.04-3.10, 8 Mg 3.06-3.14
4 Mg 0.6621 0.8311 0.2500  4 Ga 3.04-3.10, 8 Mg 3.06-3.14
5 Mg 0.8311 0.1689 0.7500  4 Ga 3.04-3.10, 8 Mg 3.06-3.14
6 Mg 0.8311 0.6621 0.7500  4 Ga 3.04-3.10, 8 Mg 3.06-3.14
7 Ga 0.3333 0.6667 0.7500  12 Mg 3.04-3.10
8 Ga 0.6667 0.3333 0.2500  12 Mg 3.04-3.10

* ΔH_f (0 K): -0.082 eV per atom
* space group: P6_3/mmc



Entry 2:
Compound: LiTa3O8
Source: Materials Project
Functional: PBE
Structure: relaxed

Cell lengths 7.5557, 7.5557, 5.1059 Å; angles 90.67, 90.67, 101.78 degrees
With the nearest neighbours (Å) after each atom.
Sites, in units of the cell vectors:
1 Li 0.1552 0.8448 0.7500  4 O 2.13-2.18
2 Li 0.8448 0.1552 0.2500  4 O 2.13-2.18
3 Ta 0.1556 0.3278 0.7446  5 O 1.88-2.09
4 Ta 0.3278 0.1556 0.2446  5 O 1.88-2.09
5 Ta 0.3299 0.6701 0.2500  6 O 1.97-2.06
6 Ta 0.6701 0.3299 0.7500  6 O 1.97-2.06
7 Ta 0.6722 0.8444 0.7554  5 O 1.88-2.09
8 Ta 0.8444 0.6722 0.2554  5 O 1.88-2.09
9 O 0.0794 0.6865 0.3914  2 Ta 1.88-2.06
10 O 0.0989 0.1956 0.0614  2 Ta 1.92-2.03, 1 Li 2.13
11 O 0.1956 0.0989 0.5614  2 Ta 1.92-2.03, 1 Li 2.13
12 O 0.2075 0.5604 0.9249  2 Ta 1.94-1.98
13 O 0.3026 0.4323 0.4171  2 Ta 1.97-2.09
14 O 0.3135 0.9206 0.1086  2 Ta 1.88-2.06
15 O 0.4323 0.3026 0.9171  2 Ta 1.97-2.09
16 O 0.4396 0.7925 0.5751  2 Ta 1.94-1.98
17 O 0.5604 0.2075 0.4249  2 Ta 1.94-1.98
18 O 0.5677 0.6974 0.0829  2 Ta 1.97-2.09
19 O 0.6865 0.0794 0.8914  2 Ta 1.88-2.06
20 O 0.6974 0.5677 0.5829  2 Ta 1.97-2.09
21 O 0.7925 0.4396 0.0751  2 Ta 1.94-1.98
22 O 0.8044 0.9011 0.4386  2 Ta 1.92-2.03, 1 Li 2.13
23 O 0.9011 0.8044 0.9386  2 Ta 1.92-2.03, 1 Li 2.13
24 O 0.9206 0.3135 0.6086  2 Ta 1.88-2.06

* E (MP2020): -9.676 eV per atom
* ΔH_f (0 K): -3.254 eV per atom
* space group: C2/c
* energy above the most stable polymorph in this dataset: 0.0 meV per atom



Entry 3:
Compound: NaSc2Sn2P3S3O24
Source: Materials Project
Functional: PBE
Structure: relaxed

Cell lengths 8.7723, 8.7735, 22.9619 Å; angles 89.84, 89.97, 60.02 degrees
With the nearest neighbours (Å) after each atom.
Sites, in units of the cell vectors:
1 Na 0.0000 0.0000 0.0000  6 O 2.51-2.75
2 Na 0.0213 0.9949 0.4959  6 O 2.51-2.79
3 Na 0.6732 0.6615 0.3341  6 O 2.53-2.68
4 Sc 0.0006 0.0113 0.1499  5 O 1.97-2.17
5 Sc 0.0023 0.0018 0.8539  6 O 2.00-2.20
6 Sc 0.0179 0.9953 0.6427  6 O 1.99-2.21
7 Sc 0.0202 0.0081 0.3512  6 O 1.98-2.22
8 Sc 0.6749 0.6696 0.4774  6 O 2.05-2.13
9 Sc 0.6852 0.6686 0.9749  6 O 1.98-2.19
10 Sn 0.3306 0.3406 0.5191  6 O 2.00-2.16
11 Sn 0.3424 0.3411 0.8139  6 O 1.99-2.11
12 Sn 0.3435 0.3365 0.3112  6 O 2.02-2.11
13 Sn 0.3515 0.3335 0.0195  6 O 2.00-2.13
14 Sn 0.6695 0.6756 0.1843  6 O 2.01-2.16
15 Sn 0.6780 0.6732 0.6811  6 O 1.99-2.14
16 P 0.0523 0.3371 0.4147  4 O 1.53-1.55
17 P 0.0592 0.6222 0.9163  4 O 1.52-1.56
18 P 0.3031 0.0036 0.2484  4 O 1.53-1.57
19 P 0.3424 0.6242 0.4154  4 O 1.53-1.56
20 P 0.3878 0.9616 0.5807  4 O 1.51-1.57
21 P 0.6335 0.3364 0.9156  4 O 1.51-1.56
22 P 0.6777 0.9588 0.0805  4 O 1.52-1.56
23 P 0.7163 0.2976 0.2494  4 O 1.52-1.57
24 P 0.9664 0.6691 0.5813  4 O 1.51-1.57
25 S 0.0093 0.2966 0.7487  4 O 1.47-1.51
26 S 0.0088 0.7104 0.2491  4 O 1.46-1.51
27 S 0.3062 0.7090 0.7486  4 O 1.47-1.50
28 S 0.3413 0.0468 0.9153  4 O 1.45-1.50
29 S 0.3840 0.6704 0.0807  4 O 1.46-1.50
30 S 0.6346 0.0466 0.4160  4 O 1.47-1.49
31 S 0.6747 0.3772 0.5817  4 O 1.45-1.51
32 S 0.7148 0.0031 0.7487  4 O 1.46-1.50
33 S 0.9695 0.3781 0.0811  4 O 1.46-1.49
34 O 0.0338 0.1724 0.4101  1 P 1.54
35 O 0.0343 0.7891 0.1960  1 S 1.47
36 O 0.0377 0.1887 0.6968  1 S 1.47
37 O 0.0446 0.8035 0.9088  1 P 1.54
38 O 0.1348 0.5094 0.8604  1 P 1.56
39 O 0.1361 0.3682 0.3599  1 P 1.55
40 O 0.1460 0.3624 0.0743  1 S 1.49
41 O 0.1520 0.5062 0.5766  1 P 1.54
42 O 0.1671 0.5331 0.2544  1 S 1.48
43 O 0.1681 0.2975 0.4701  1 P 1.55
44 O 0.1700 0.3150 0.7559  1 S 1.51
45 O 0.1748 0.8042 0.4098  1 P 1.53
46 O 0.1762 0.5395 0.9708  1 P 1.55
47 O 0.1830 0.0310 0.9079  1 S 1.47
48 O 0.1940 0.0272 0.1938  1 P 1.53
49 O 0.1969 0.7889 0.6968  1 S 1.47
50 O 0.2030 0.9846 0.5898  1 P 1.54
51 O 0.2089 0.8265 0.0879  1 S 1.47
52 O 0.2242 0.9680 0.3027  1 P 1.53
53 O 0.2269 0.8159 0.8008  1 S 1.47
54 O 0.3049 0.1601 0.9675  1 S 1.49
55 O 0.3153 0.5402 0.4714  1 P 1.56
56 O 0.3226 0.1678 0.2564  1 P 1.54
57 O 0.3242 0.5304 0.7546  1 S 1.50
58 O 0.3663 0.5098 0.0759  1 S 1.50
59 O 0.3741 0.1237 0.8617  1 S 1.50
60 O 0.3741 0.1431 0.5742  1 P 1.54
61 O 0.3769 0.5086 0.3605  1 P 1.55
62 O 0.4685 0.6942 0.0293  1 S 1.46
63 O 0.4716 0.8428 0.5288  1 P 1.51
64 O 0.4856 0.6871 0.7410  1 S 1.50
65 O 0.4908 0.8361 0.2436  1 P 1.57
66 O 0.4933 0.6342 0.1345  1 S 1.50
67 O 0.4949 0.8854 0.6385  1 P 1.57
68 O 0.4972 0.8748 0.9227  1 S 1.45
69 O 0.5072 0.6418 0.4212  1 P 1.53
70 O 0.5080 0.1423 0.0746  1 P 1.56
71 O 0.5175 0.3578 0.5750  1 S 1.48
72 O 0.5218 0.3670 0.8596  1 P 1.56
73 O 0.5248 0.1241 0.3630  1 S 1.49
74 O 0.5314 0.3188 0.2562  1 P 1.54
75 O 0.5353 0.1614 0.7564  1 S 1.50
76 O 0.5554 0.1555 0.4692  1 S 1.49
77 O 0.5559 0.2923 0.9694  1 P 1.55
78 O 0.6413 0.4845 0.6364  1 S 1.51
79 O 0.6443 0.8798 0.1367  1 P 1.56
80 O 0.6471 0.4995 0.9249  1 P 1.51
81 O 0.6489 0.8727 0.4215  1 S 1.47
82 O 0.6962 0.8434 0.7428  1 S 1.50
83 O 0.7003 0.4831 0.2414  1 P 1.57
84 O 0.7018 0.8447 0.0275  1 P 1.52
85 O 0.7061 0.4575 0.5311  1 S 1.45
86 O 0.7939 0.0328 0.6970  1 S 1.46
87 O 0.7975 0.1876 0.1945  1 P 1.53
88 O 0.8092 0.0285 0.4098  1 S 1.47
89 O 0.8163 0.1709 0.9080  1 P 1.54
90 O 0.8230 0.9747 0.8011  1 S 1.47
91 O 0.8298 0.2146 0.3033  1 P 1.52
92 O 0.8323 0.2025 0.5903  1 S 1.48
93 O 0.8405 0.9795 0.0876  1 P 1.54
94 O 0.8494 0.4752 0.7416  1 S 1.50
95 O 0.8499 0.6886 0.2429  1 S 1.51
96 O 0.8509 0.6981 0.5289  1 P 1.51
97 O 0.8589 0.4597 0.0298  1 S 1.46
98 O 0.8721 0.5026 0.4211  1 P 1.53
99 O 0.8790 0.6406 0.9236  1 P 1.52
100 O 0.8930 0.4849 0.1349  1 S 1.49
101 O 0.8937 0.6308 0.6387  1 P 1.57
102 O 0.9785 0.8172 0.3012  1 S 1.46
103 O 0.9825 0.2162 0.8012  1 S 1.47
104 O 0.9834 0.8343 0.5903  1 P 1.54
105 O 0.9909 0.2011 0.0874  1 S 1.47

* E (MP2020): -7.353 eV per atom
* ΔH_f (0 K): -2.513 eV per atom
* space group: P1



Entry 4:
Compound: Sr4LiSm2Ta2O12
Source: Materials Project
Functional: PBE
Structure: relaxed

Cell lengths 5.8183, 6.1820, 8.4429 Å; angles 88.28, 89.16, 89.25 degrees
With the nearest neighbours (Å) after each atom.
Sites, in units of the cell vectors:
1 Sr 0.0000 0.0000 0.0000  6 O 2.53-2.79
2 Sr 0.0450 0.1619 0.5302  6 O 2.51-2.67, 1 Li 2.54
3 Sr 0.4770 0.6130 0.4961  6 O 2.48-2.73
4 Sr 0.5348 0.5007 0.9892  6 O 2.50-2.75
5 Li 0.8793 0.8375 0.3960  4 O 1.93-2.12
6 Sm 0.0163 0.5222 0.2299  5 O 2.24-2.42
7 Sm 0.5226 0.0609 0.7478  6 O 2.29-2.38
8 Ta 0.0165 0.5756 0.7480  6 O 2.00-2.09
9 Ta 0.5027 0.0517 0.2476  6 O 2.00-2.09
10 O 0.1144 0.5864 0.9758  1 Ta 2.02, 1 Sm 2.24
11 O 0.2039 0.8435 0.6969  1 Ta 2.03
12 O 0.2163 0.8720 0.2999  1 Ta 2.05, 1 Li 2.12
13 O 0.2970 0.3761 0.7042  1 Ta 2.07
14 O 0.3313 0.3230 0.3086  1 Ta 2.02
15 O 0.4234 0.0853 0.0187  1 Ta 2.00
16 O 0.6291 0.0124 0.4777  1 Li 1.93, 1 Ta 2.09
17 O 0.7028 0.7764 0.2075  1 Li 1.96, 1 Ta 2.08
18 O 0.7418 0.7581 0.8034  1 Ta 2.00
19 O 0.7856 0.2398 0.1948  1 Ta 2.06, 1 Sm 2.25
20 O 0.8302 0.2969 0.7916  1 Ta 2.07
21 O 0.9299 0.5584 0.5092  1 Li 1.97, 1 Ta 2.09

* E (MP2020): -8.110 eV per atom
* ΔH_f (0 K): -3.292 eV per atom
* space group: P1
* energy above the most stable polymorph in this dataset: 5.9 meV per atom



Entry 5:
Compound: ErMn12
Source: Materials Project
Functional: PBE
Structure: relaxed

Cell lengths 6.3112, 6.3112, 6.3112 Å; angles 97.71, 97.71, 137.03 degrees
With the nearest neighbours (Å) after each atom.
Sites, in units of the cell vectors:
1 Er 0.0000 0.0000 0.0000  20 Mn 2.98-3.16
2 Mn 0.0000 0.0000 0.5000  10 Mn 2.31-2.55
3 Mn 0.0000 0.3620 0.3620  7 Mn 2.29-2.55
4 Mn 0.0000 0.5000 0.0000  10 Mn 2.31-2.55
5 Mn 0.0000 0.6380 0.6380  7 Mn 2.29-2.55
6 Mn 0.2733 0.5000 0.7733  10 Mn 2.38-2.66
7 Mn 0.3620 0.0000 0.3620  7 Mn 2.29-2.55
8 Mn 0.5000 0.0000 0.0000  10 Mn 2.31-2.55
9 Mn 0.5000 0.2733 0.7733  10 Mn 2.38-2.66
10 Mn 0.5000 0.5000 0.5000  10 Mn 2.31-2.55
11 Mn 0.5000 0.7267 0.2267  10 Mn 2.38-2.66
12 Mn 0.6380 0.0000 0.6380  7 Mn 2.29-2.55
13 Mn 0.7267 0.5000 0.2267  10 Mn 2.38-2.66

* ΔH_f (0 K): -0.010 eV per atom
* space group: I4/mmm



Entry 6:
Compound: Ti2MnTc
Source: Materials Project
Functional: PBE
Structure: relaxed

Cell lengths 6.1173, 6.1173, 6.1173 Å; angles 90.00, 90.00, 90.00 degrees
With the nearest neighbours (Å) after each atom.
Sites, in units of the cell vectors:
1 Ti 0.2500 0.2500 0.2500  4 Mn 2.65, 4 Tc 2.65
2 Ti 0.2500 0.2500 0.7500  4 Mn 2.65, 4 Tc 2.65
3 Ti 0.2500 0.7500 0.2500  4 Mn 2.65, 4 Tc 2.65
4 Ti 0.2500 0.7500 0.7500  4 Tc 2.65, 4 Mn 2.65
5 Ti 0.7500 0.2500 0.2500  4 Mn 2.65, 4 Tc 2.65
6 Ti 0.7500 0.2500 0.7500  4 Mn 2.65, 4 Tc 2.65
7 Ti 0.7500 0.7500 0.2500  4 Tc 2.65, 4 Mn 2.65
8 Ti 0.7500 0.7500 0.7500  4 Mn 2.65, 4 Tc 2.65
9 Mn 0.0000 0.0000 0.0000  8 Ti 2.65
10 Mn 0.0000 0.5000 0.5000  8 Ti 2.65
11 Mn 0.5000 0.0000 0.5000  8 Ti 2.65
12 Mn 0.5000 0.5000 0.0000  8 Ti 2.65
13 Tc 0.0000 0.0000 0.5000  8 Ti 2.65
14 Tc 0.0000 0.5000 0.0000  8 Ti 2.65
15 Tc 0.5000 0.0000 0.0000  8 Ti 2.65
16 Tc 0.5000 0.5000 0.5000  8 Ti 2.65

* ΔH_f (0 K): -0.355 eV per atom
* space group: Fm-3m
* energy above the most stable polymorph in this dataset: 0.0 meV per atom



Entry 7:
Compound: Sr2Ti2O5
Source: Materials Project
Functional: PBE
Structure: relaxed

Cell lengths 8.8054, 8.8054, 8.8054 Å; angles 142.75, 53.71, 142.73 degrees
With the nearest neighbours (Å) after each atom.
Sites, in units of the cell vectors:
1 Sr 0.1318 0.0000 0.1318  7 O 2.60-2.82
2 Sr 0.3706 0.0026 0.3680  9 O 2.60-2.83
3 Sr 0.6345 0.0026 0.6320  9 O 2.60-2.83
4 Sr 0.8682 0.0000 0.8682  7 O 2.60-2.82
5 Ti 0.0197 0.5197 0.5000  4 O 1.92-1.93
6 Ti 0.2513 0.5012 0.7501  6 O 1.99-2.04
7 Ti 0.4863 0.4863 0.0000  4 O 1.92-1.93
8 Ti 0.7511 0.5012 0.2499  6 O 1.99-2.04
9 O 0.0086 0.0017 0.5074  2 Ti 1.99
10 O 0.0086 0.5012 0.0069  2 Ti 1.99
11 O 0.0847 0.4639 0.6208  2 Ti 1.92-2.04
12 O 0.2608 0.0048 0.7440  2 Ti 1.92-1.93
13 O 0.2608 0.5168 0.2560  2 Ti 1.92-1.93
14 O 0.4173 0.5385 0.8788  2 Ti 1.93-2.03
15 O 0.4943 0.0017 0.9931  2 Ti 1.99
16 O 0.4943 0.5012 0.4926  2 Ti 1.99
17 O 0.6598 0.5385 0.1212  2 Ti 1.93-2.03
18 O 0.8431 0.4639 0.3792  2 Ti 1.92-2.04

* E (MP2020): -8.150 eV per atom
* ΔH_f (0 K): -3.271 eV per atom
* space group: Imm2
* energy above the most stable polymorph in this dataset: 0.0 meV per atom



Entry 8:
Compound: Te2Mo3WS6
Source: Materials Project
Functional: PBE
Structure: relaxed

Cell lengths 3.2737, 3.2737, 38.6892 Å; angles 90.00, 90.00, 120.00 degrees
With the nearest neighbours (Å) after each atom.
Sites, in units of the cell vectors:
1 Te 0.0000 0.0000 0.0000  3 Mo 2.70
2 Te 0.0000 0.0000 0.0995  3 Mo 2.70
3 Mo 0.0000 0.0000 0.4837  6 S 2.44
4 Mo 0.3333 0.6667 0.0497  6 Te 2.70
5 Mo 0.3333 0.6667 0.6723  6 S 2.44
6 W 0.0000 0.0000 0.8582  6 S 2.44
7 S 0.0000 0.0000 0.6325  3 Mo 2.44
8 S 0.0000 0.0000 0.7121  3 Mo 2.44
9 S 0.3333 0.6667 0.4440  3 Mo 2.44
10 S 0.3333 0.6667 0.5235  3 Mo 2.44
11 S 0.3333 0.6667 0.8182  3 W 2.44
12 S 0.3333 0.6667 0.8981  3 W 2.44

* E (MP2020): -7.283 eV per atom
* ΔH_f (0 K): -0.899 eV per atom
* space group: P3m1
* energy above the most stable polymorph in this dataset: 0.5 meV per atom



no.,E (eV per atom)
1,-2.0390
2,-9.2177
3,-6.8823
4,-7.7178
5,-8.8186
6,-9.1838
7,-7.7684
8,-7.0312